# CsHgCl3 (PBE, relaxed)
# Energy of formation, eV/atom: -1.524
# Space-group type: Pm-3m, No. 221
# E (MP2020), eV per atom: -2.87
# Total moment, μB per formula unit: 0.00
# Crystal system: cubic
data_CsHgCl3
_chemical_formula_sum 'Cs1 Hg1 Cl3'
_symmetry_space_group_name_H-M 'P 1'
_symmetry_Int_Tables_number 1
_symmetry_space_group_name_Hall 'P 1'
_cell_length_a 5.403
_cell_length_b 5.403
_cell_length_c 5.403
_cell_angle_alpha 90.00
_cell_angle_beta 90.00
_cell_angle_gamma 90.00
loop_
_atom_site_label
_atom_site_type_symbol
_atom_site_fract_x
_atom_site_fract_y
_atom_site_fract_z
Cs1 Cs 0.000 0.000 0.000
Hg1 Hg 0.500 0.500 0.500
Cl1 Cl 0.000 0.500 0.500
Cl2 Cl 0.500 0.000 0.500
Cl3 Cl 0.500 0.500 0.000


# NaPrSe2O10 (PBE, relaxed)
# Energy of formation, eV/atom: -1.407
# Space-group type: P2_1/c, No. 14
# E (MP2020), eV per atom: -5.88
# Total moment, μB per formula unit: 4.00
# Crystal system: monoclinic
data_NaPrSe2O10
_chemical_formula_sum 'Na4 Pr4 Se8 O40'
_symmetry_space_group_name_H-M 'P 1'
_symmetry_Int_Tables_number 1
_symmetry_space_group_name_Hall 'P 1'
_cell_length_a 11.392
_cell_length_b 7.239
_cell_length_c 11.245
_cell_angle_alpha 90.00
_cell_angle_beta 110.85
_cell_angle_gamma 90.00
loop_
_atom_site_label
_atom_site_type_symbol
_atom_site_fract_x
_atom_site_fract_y
_atom_site_fract_z
Na1 Na 0.129 0.144 0.463
Na2 Na 0.129 0.356 0.963
Na3 Na 0.871 0.644 0.037
Na4 Na 0.871 0.856 0.537
Pr1 Pr 0.251 0.615 0.666
Pr2 Pr 0.251 0.885 0.166
Pr3 Pr 0.749 0.115 0.834
Pr4 Pr 0.749 0.385 0.334
Se1 Se 0.053 0.653 0.360
Se2 Se 0.053 0.847 0.860
Se3 Se 0.394 0.128 0.720
Se4 Se 0.394 0.372 0.220
Se5 Se 0.606 0.628 0.780
Se6 Se 0.606 0.872 0.280
Se7 Se 0.947 0.153 0.140
Se8 Se 0.947 0.347 0.640
O1 O 0.072 0.679 0.968
O2 O 0.072 0.821 0.468
O3 O 0.100 0.106 0.215
O4 O 0.100 0.394 0.715
O5 O 0.110 0.704 0.247
O6 O 0.110 0.796 0.747
O7 O 0.128 0.026 0.949
O8 O 0.128 0.474 0.449
O9 O 0.296 0.039 0.382
O10 O 0.296 0.461 0.882
O11 O 0.307 0.561 0.162
O12 O 0.307 0.939 0.662
O13 O 0.309 0.201 0.132
O14 O 0.309 0.299 0.632
O15 O 0.381 0.698 0.522
O16 O 0.381 0.802 0.022
O17 O 0.414 0.162 0.877
O18 O 0.414 0.338 0.377
O19 O 0.470 0.609 0.800
O20 O 0.470 0.891 0.300
O21 O 0.530 0.109 0.700
O22 O 0.530 0.391 0.200
O23 O 0.586 0.662 0.623
O24 O 0.586 0.838 0.123
O25 O 0.619 0.198 0.978
O26 O 0.619 0.302 0.478
O27 O 0.691 0.701 0.368
O28 O 0.691 0.799 0.868
O29 O 0.693 0.061 0.338
O30 O 0.693 0.439 0.838
O31 O 0.704 0.539 0.118
O32 O 0.704 0.961 0.618
O33 O 0.872 0.526 0.551
O34 O 0.872 0.974 0.051
O35 O 0.890 0.204 0.253
O36 O 0.890 0.296 0.753
O37 O 0.900 0.606 0.285
O38 O 0.900 0.894 0.785
O39 O 0.928 0.179 0.532
O40 O 0.928 0.321 0.032


# Cd27Pd8 (PBE, relaxed)
# Energy of formation, eV/atom: -0.016
# Space-group type: Cmc2_1, No. 36
# Total moment, μB per formula unit: 0.02
# Crystal system: orthorhombic
data_Cd27Pd8
_chemical_formula_sum 'Cd54 Pd16'
_symmetry_space_group_name_H-M 'P 1'
_symmetry_Int_Tables_number 1
_symmetry_space_group_name_Hall 'P 1'
_cell_length_a 8.538
_cell_length_b 8.538
_cell_length_c 39.202
_cell_angle_alpha 90.00
_cell_angle_beta 90.00
_cell_angle_gamma 70.18
loop_
_atom_site_label
_atom_site_type_symbol
_atom_site_fract_x
_atom_site_fract_y
_atom_site_fract_z
Cd1 Cd 0.020 0.980 0.532
Cd2 Cd 0.022 0.978 0.610
Cd3 Cd 0.040 0.960 0.945
Cd4 Cd 0.045 0.300 0.938
Cd5 Cd 0.073 0.273 0.642
Cd6 Cd 0.080 0.266 0.500
Cd7 Cd 0.085 0.684 0.069
Cd8 Cd 0.104 0.640 0.638
Cd9 Cd 0.117 0.630 0.509
Cd10 Cd 0.167 0.575 0.944
Cd11 Cd 0.196 0.440 0.575
Cd12 Cd 0.216 0.426 0.129
Cd13 Cd 0.230 0.422 0.017
Cd14 Cd 0.266 0.080 0.000
Cd15 Cd 0.273 0.073 0.142
Cd16 Cd 0.300 0.045 0.438
Cd17 Cd 0.316 0.915 0.069
Cd18 Cd 0.360 0.896 0.638
Cd19 Cd 0.370 0.883 0.509
Cd20 Cd 0.422 0.230 0.517
Cd21 Cd 0.425 0.833 0.944
Cd22 Cd 0.426 0.216 0.629
Cd23 Cd 0.440 0.196 0.075
Cd24 Cd 0.453 0.547 0.068
Cd25 Cd 0.465 0.535 0.647
Cd26 Cd 0.467 0.533 0.488
Cd27 Cd 0.479 0.521 0.413
Cd28 Cd 0.521 0.479 0.913
Cd29 Cd 0.533 0.467 0.988
Cd30 Cd 0.535 0.465 0.147
Cd31 Cd 0.547 0.453 0.568
Cd32 Cd 0.560 0.804 0.575
Cd33 Cd 0.574 0.784 0.129
Cd34 Cd 0.575 0.167 0.444
Cd35 Cd 0.578 0.770 0.017
Cd36 Cd 0.630 0.117 0.009
Cd37 Cd 0.640 0.104 0.138
Cd38 Cd 0.684 0.085 0.569
Cd39 Cd 0.700 0.955 0.938
Cd40 Cd 0.727 0.927 0.642
Cd41 Cd 0.734 0.920 0.500
Cd42 Cd 0.770 0.578 0.517
Cd43 Cd 0.784 0.574 0.629
Cd44 Cd 0.804 0.560 0.075
Cd45 Cd 0.833 0.425 0.444
Cd46 Cd 0.883 0.370 0.009
Cd47 Cd 0.896 0.360 0.138
Cd48 Cd 0.915 0.316 0.569
Cd49 Cd 0.920 0.734 0.000
Cd50 Cd 0.927 0.727 0.142
Cd51 Cd 0.955 0.700 0.438
Cd52 Cd 0.960 0.040 0.445
Cd53 Cd 0.978 0.022 0.110
Cd54 Cd 0.980 0.020 0.032
Pd1 Pd 0.096 0.263 0.067
Pd2 Pd 0.242 0.758 0.896
Pd3 Pd 0.245 0.408 0.454
Pd4 Pd 0.251 0.749 0.007
Pd5 Pd 0.257 0.743 0.128
Pd6 Pd 0.263 0.096 0.567
Pd7 Pd 0.263 0.737 0.568
Pd8 Pd 0.408 0.245 0.954
Pd9 Pd 0.592 0.755 0.454
Pd10 Pd 0.737 0.263 0.068
Pd11 Pd 0.737 0.904 0.067
Pd12 Pd 0.743 0.257 0.628
Pd13 Pd 0.749 0.251 0.507
Pd14 Pd 0.755 0.592 0.954
Pd15 Pd 0.758 0.242 0.396
Pd16 Pd 0.904 0.737 0.567


# Sr2EuNbCu2O8 (PBE, relaxed)
# Energy of formation, eV/atom: -2.589
# Space-group type: I4/mcm, No. 140
# E (MP2020), eV per atom: -7.70
# Total moment, μB per formula unit: 6.09
# Crystal system: tetragonal
data_Sr2EuNbCu2O8
_chemical_formula_sum 'Sr4 Eu2 Nb2 Cu4 O16'
_symmetry_space_group_name_H-M 'P 1'
_symmetry_Int_Tables_number 1
_symmetry_space_group_name_Hall 'P 1'
_cell_length_a 12.478
_cell_length_b 12.478
_cell_length_c 12.478
_cell_angle_alpha 154.47
_cell_angle_beta 154.47
_cell_angle_gamma 36.42
loop_
_atom_site_label
_atom_site_type_symbol
_atom_site_fract_x
_atom_site_fract_y
_atom_site_fract_z
Sr1 Sr 0.100 0.600 0.500
Sr2 Sr 0.400 0.900 0.500
Sr3 Sr 0.600 0.100 0.500
Sr4 Sr 0.900 0.400 0.500
Eu1 Eu 0.250 0.750 0.500
Eu2 Eu 0.750 0.250 0.500
Nb1 Nb 0.000 0.000 0.000
Nb2 Nb 0.500 0.500 0.000
Cu1 Cu 0.178 0.178 0.000
Cu2 Cu 0.322 0.322 0.000
Cu3 Cu 0.678 0.678 0.000
Cu4 Cu 0.822 0.822 0.000
O1 O 0.064 0.067 0.500
O2 O 0.067 0.567 0.003
O3 O 0.084 0.084 0.000
O4 O 0.181 0.681 0.861
O5 O 0.319 0.181 0.500
O6 O 0.416 0.416 0.000
O7 O 0.433 0.436 0.500
O8 O 0.436 0.936 0.003
O9 O 0.564 0.064 0.997
O10 O 0.567 0.564 0.500
O11 O 0.584 0.584 0.000
O12 O 0.681 0.819 0.500
O13 O 0.819 0.319 0.139
O14 O 0.916 0.916 0.000
O15 O 0.933 0.433 0.997
O16 O 0.936 0.933 0.500


# Na4HfMg3SiS5O24 (PBE, relaxed)
# Energy of formation, eV/atom: -2.484
# Space-group type: P1, No. 1
# E (MP2020), eV per atom: -6.82
# Total moment, μB per formula unit: 0.00
# Crystal system: triclinic
data_Na4HfMg3SiS5O24
_chemical_formula_sum 'Na12 Hf3 Mg9 Si3 S15 O72'
_symmetry_space_group_name_H-M 'P 1'
_symmetry_Int_Tables_number 1
_symmetry_space_group_name_Hall 'P 1'
_cell_length_a 8.838
_cell_length_b 8.844
_cell_length_c 22.638
_cell_angle_alpha 89.77
_cell_angle_beta 89.80
_cell_angle_gamma 60.12
loop_
_atom_site_label
_atom_site_type_symbol
_atom_site_fract_x
_atom_site_fract_y
_atom_site_fract_z
Na1 Na 0.000 0.000 0.000
Na2 Na 0.001 0.034 0.504
Na3 Na 0.020 0.671 0.583
Na4 Na 0.306 0.334 0.667
Na5 Na 0.336 0.349 0.164
Na6 Na 0.353 0.015 0.255
Na7 Na 0.610 0.368 0.248
Na8 Na 0.646 0.690 0.340
Na9 Na 0.651 0.698 0.837
Na10 Na 0.667 0.319 0.578
Na11 Na 0.685 0.346 0.916
Na12 Na 0.999 0.661 0.248
Hf1 Hf 0.649 0.688 0.181
Hf2 Hf 0.666 0.673 0.686
Hf3 Hf 0.993 0.001 0.352
Mg1 Mg 0.314 0.339 0.517
Mg2 Mg 0.319 0.345 0.817
Mg3 Mg 0.319 0.348 0.015
Mg4 Mg 0.330 0.345 0.317
Mg5 Mg 0.655 0.687 0.981
Mg6 Mg 0.660 0.671 0.482
Mg7 Mg 0.983 0.004 0.147
Mg8 Mg 0.997 0.022 0.651
Mg9 Mg 0.999 0.005 0.850
Si1 Si 0.280 0.718 0.247
Si2 Si 0.693 0.019 0.247
Si3 Si 0.957 0.377 0.580
S1 S 0.028 0.347 0.916
S2 S 0.028 0.636 0.417
S3 S 0.282 0.016 0.751
S4 S 0.322 0.639 0.916
S5 S 0.325 0.051 0.416
S6 S 0.355 0.980 0.080
S7 S 0.363 0.683 0.581
S8 S 0.615 0.054 0.916
S9 S 0.615 0.350 0.417
S10 S 0.655 0.972 0.582
S11 S 0.658 0.381 0.079
S12 S 0.692 0.304 0.751
S13 S 0.954 0.677 0.080
S14 S 0.989 0.302 0.248
S15 S 0.994 0.722 0.749
O1 O 0.003 0.191 0.910
O2 O 0.011 0.801 0.693
O3 O 0.014 0.815 0.413
O4 O 0.023 0.195 0.196
O5 O 0.109 0.371 0.863
O6 O 0.110 0.537 0.362
O7 O 0.127 0.518 0.077
O8 O 0.133 0.322 0.969
O9 O 0.133 0.556 0.470
O10 O 0.139 0.330 0.259
O11 O 0.141 0.376 0.579
O12 O 0.144 0.544 0.755
O13 O 0.160 0.809 0.192
O14 O 0.161 0.037 0.413
O15 O 0.168 0.815 0.910
O16 O 0.181 0.036 0.697
O17 O 0.182 0.827 0.591
O18 O 0.183 0.998 0.087
O19 O 0.201 0.850 0.305
O20 O 0.203 0.988 0.803
O21 O 0.298 0.557 0.970
O22 O 0.301 0.527 0.258
O23 O 0.304 0.158 0.468
O24 O 0.304 0.171 0.756
O25 O 0.341 0.131 0.360
O26 O 0.346 0.151 0.077
O27 O 0.352 0.528 0.864
O28 O 0.359 0.516 0.577
O29 O 0.437 0.717 0.529
O30 O 0.448 0.866 0.030
O31 O 0.461 0.856 0.744
O32 O 0.463 0.895 0.136
O33 O 0.473 0.660 0.635
O34 O 0.479 0.874 0.421
O35 O 0.481 0.690 0.242
O36 O 0.485 0.653 0.922
O37 O 0.494 0.172 0.258
O38 O 0.498 0.367 0.077
O39 O 0.507 0.152 0.577
O40 O 0.509 0.136 0.862
O41 O 0.515 0.328 0.756
O42 O 0.516 0.363 0.363
O43 O 0.534 0.165 0.968
O44 O 0.535 0.326 0.471
O45 O 0.623 0.892 0.636
O46 O 0.631 0.509 0.420
O47 O 0.636 0.878 0.923
O48 O 0.638 0.490 0.135
O49 O 0.672 0.486 0.744
O50 O 0.674 0.473 0.027
O51 O 0.678 0.865 0.530
O52 O 0.689 0.833 0.240
O53 O 0.773 0.070 0.193
O54 O 0.774 0.203 0.697
O55 O 0.791 0.041 0.909
O56 O 0.796 0.192 0.412
O57 O 0.799 0.228 0.804
O58 O 0.818 0.211 0.085
O59 O 0.819 0.979 0.590
O60 O 0.822 0.975 0.305
O61 O 0.823 0.473 0.526
O62 O 0.828 0.707 0.745
O63 O 0.829 0.479 0.241
O64 O 0.841 0.695 0.030
O65 O 0.847 0.502 0.922
O66 O 0.849 0.664 0.421
O67 O 0.854 0.510 0.639
O68 O 0.870 0.657 0.137
O69 O 0.951 0.227 0.302
O70 O 0.966 0.191 0.589
O71 O 0.967 0.831 0.801
O72 O 0.967 0.836 0.084